! Li4MnCo3O8 | Materials Project | GGA+U | relaxed; values from VASP
&SYSTEM
  ibrav = 0, nat = 32, ntyp = 4
/
ATOMIC_SPECIES
O 16.00 O.upf
Co 58.93 Co.upf
Mn 54.94 Mn.upf
Li 6.94 Li.upf
ATOMIC_POSITIONS angstrom
O 2.1628 3.3995 11.4575
O -0.6562 -0.6312 6.6996
O -0.5647 2.4394 10.9788
O 0.1984 0.1373 9.6634
O 2.9260 1.0975 10.1422
O -5.5596 1.9959 1.6329
O -5.1976 3.2748 9.1584
O -3.6491 0.2615 2.9440
O -2.5022 1.0814 5.4375
O -3.5929 3.5421 7.0702
O -7.2046 1.6021 3.7553
O -0.9190 1.3553 3.3967
O -3.2869 1.5420 10.4701
O -1.6418 1.9356 8.3478
O -5.2534 -0.0038 5.0327
O 0.9270 -0.3564 4.6589
Co -0.0242 -0.0789 0.0294
Co 1.0553 -1.3512 6.3096
Co -0.7876 0.3621 5.0482
Co -2.6307 2.0751 3.7869
Co -1.5515 0.8024 10.0675
Co 1.1807 1.7684 10.5605
Mn -5.4146 0.9880 3.3357
Mn -3.4321 2.5500 8.7672
Li 0.1915 1.0852 7.7768
Li -2.5552 0.0034 7.2963
Li 0.0863 -2.0729 3.6258
Li 0.3309 4.1796 12.0168
Li -2.4546 3.1757 11.5638
Li -4.4233 1.7690 6.0512
Li 2.0306 -0.6430 9.1043
Li -1.7669 -0.3615 2.3201
CELL_PARAMETERS angstrom
-0.8934 -2.7936 0.8251
3.9372 2.8134 11.0246
-7.2705 2.8144 2.0062
! crystal system	triclinic
! uncorrected energy	-0.431	Ry per atom
! magnetic moment	16.00	μB per cell
! energy of formation from the pure elements	-1.76	eV per atom